[1]
Entry from Materials Project: ErMn2 after structural relaxation (PBE).

abc: 8.9289 5.3485 8.5180
angles: 90.00 90.07 90.00
Closest atoms and distances in Å follow each position.
Space group C2/m (No. 12)
Inequivalent atoms, fractional coordinates:
Er1 0.1683 0.0000 0.0626 [4 per cell]  12 Mn 2.97-3.12, 4 Er 3.19-3.23
Er2 0.1681 0.0000 0.4372 [4 per cell]  12 Mn 2.97-3.12, 4 Er 3.19-3.23
Mn1 0.0000 0.5000 0.0000 [2 per cell]  6 Mn 2.59-2.69
Mn2 0.0000 0.5000 0.5000 [2 per cell]  6 Mn 2.59-2.70
Mn3 0.0762 0.2552 0.7502 [8 per cell]  6 Mn 2.54-2.73
Mn4 0.1845 0.5000 0.2496 [4 per cell]  6 Mn 2.54-2.70

[2]
Entry from Materials Project: ErMn2 after structural relaxation (PBE).

abc: 8.7211 5.2651 8.3426
angles: 90.00 93.74 90.00
Closest atoms and distances in Å follow each position.
Space group C2/m (No. 12)
Inequivalent atoms, fractional coordinates:
Er1 0.1657 0.0000 0.4365 [4 per cell]  12 Mn 2.90-3.08, 4 Er 3.13-3.16
Er2 0.1694 0.0000 0.0615 [4 per cell]  12 Mn 2.90-3.13, 4 Er 3.06-3.19
Mn1 0.0000 0.5000 0.0000 [2 per cell]  6 Mn 2.44-2.64
Mn2 0.0000 0.5000 0.5000 [2 per cell]  6 Mn 2.48-2.66
Mn3 0.0847 0.2553 0.7444 [8 per cell]  6 Mn 2.48-2.69
Mn4 0.1680 0.5000 0.2455 [4 per cell]  6 Mn 2.44-2.66

[3]
Entry from Materials Project: ErMn2 after structural relaxation (PBE).

abc: 7.1790 7.1790 7.1790
angles: 90.00 90.00 90.00
Closest atoms and distances in Å follow each position.
Space group Fd-3m (No. 227, origin choice 2)
Inequivalent atoms, fractional coordinates:
Er1 0.1250 0.1250 0.1250 [8 per cell]  12 Mn 2.98, 4 Er 3.11
Mn1 0.0000 0.0000 0.5000 [16 per cell]  6 Mn 2.54

[4]
Entry from Materials Project: ErMn2 after structural relaxation (PBE).

abc: 5.3183 5.3183 8.0732
angles: 90.00 90.00 120.00
Closest atoms and distances in Å follow each position.
Space group P6_3/mmc (No. 194)
Inequivalent atoms, fractional coordinates:
Er1 0.3333 0.6667 0.0599 [4 per cell]  12 Mn 2.92-3.11, 4 Er 3.07-3.22
Mn1 0.0000 0.0000 0.0000 [2 per cell]  6 Mn 2.55
Mn2 0.1689 0.3379 0.7500 [6 per cell]  6 Mn 2.55-2.70

[5]
Entry from Materials Project: Er2MnS4 after structural relaxation (PBE).

abc: 3.7573 12.3005 12.7740
angles: 90.00 90.00 90.00
Closest atoms and distances in Å follow each position.
Space group Cmc2_1 (No. 36)
Inequivalent atoms, fractional coordinates:
Er1 0.0000 0.1188 0.0000 [4 per cell]  6 S 2.70-2.90
Er2 0.0000 0.3623 0.2024 [4 per cell]  6 S 2.68-2.74
Mn1 0.0000 0.3739 0.8387 [4 per cell]  6 S 2.50-2.64
S1 0.0000 0.0104 0.7877 [4 per cell]  2 Mn 2.60, 2 Er 2.68
S2 0.0000 0.2616 0.3889 [4 per cell]  2 Mn 2.59, 3 Er 2.69-2.78
S3 0.0000 0.2898 0.6488 [4 per cell]  1 Mn 2.64, 4 Er 2.74-2.90
S4 0.0000 0.4623 0.0154 [4 per cell]  1 Mn 2.50, 3 Er 2.69-2.70

[6]
Entry from Materials Project: Er6MnSi2S14 after structural relaxation (PBE).

abc: 9.8275 9.8275 5.5832
angles: 90.00 90.00 120.00
Closest atoms and distances in Å follow each position.
Space group P3 (No. 143)
Inequivalent atoms, fractional coordinates:
Er1 0.0220 0.5666 0.0000 [3 per cell]  8 S 2.72-2.97
Er2 0.3109 0.1000 0.4995 [3 per cell]  7 S 2.72-2.94
Mn1 0.6667 0.3333 0.2607 [1 per cell]  6 S 2.53-2.55
Si1 0.0000 0.0000 0.9146 [1 per cell]  4 S 2.10-2.13
Si2 0.3333 0.6667 0.4129 [1 per cell]  4 S 2.10-2.13
S1 0.0000 0.0000 0.2911 [1 per cell]  1 Si 2.10
S2 0.0785 0.8521 0.7622 [3 per cell]  1 Si 2.13
S3 0.1855 0.4402 0.2607 [3 per cell]  1 Si 2.13
S4 0.3333 0.6667 0.7895 [1 per cell]  1 Si 2.10
S5 0.4179 0.1710 0.0205 [3 per cell]  1 Mn 2.53, 3 Er 2.72-2.83
S6 0.5026 0.4177 0.5060 [3 per cell]  1 Mn 2.55, 2 Er 2.72-2.75

[7]
Entry from Materials Project: Er2Mn3Si5 after structural relaxation (PBE).

abc: 10.5438 10.5438 5.4087
angles: 90.00 90.00 90.00
Closest atoms and distances in Å follow each position.
Space group P4/mnc (No. 128)
Inequivalent atoms, fractional coordinates:
Er1 0.0752 0.2371 0.0000 [8 per cell]  7 Si 2.76-3.03, 2 Mn 3.06
Mn1 0.0000 0.5000 0.2500 [4 per cell]  6 Si 2.38-2.61
Mn2 0.1205 0.8558 0.5000 [8 per cell]  6 Si 2.37-2.42
Si1 0.0000 0.0000 0.2517 [4 per cell]  4 Mn 2.39
Si2 0.0243 0.3160 0.5000 [8 per cell]  4 Mn 2.37-2.42, 2 Si 2.50
Si3 0.1749 0.6749 0.2500 [8 per cell]  3 Mn 2.41-2.61, 2 Si 2.50

[8]
Entry from Materials Project: ErMnSi2 after structural relaxation (PBE).

abc: 4.1712 15.8710 4.1266
angles: 90.00 90.00 90.00
Closest atoms and distances in Å follow each position.
Space group Cmcm (No. 63)
Inequivalent atoms, fractional coordinates:
Er1 0.0000 0.1058 0.2500 [4 per cell]  10 Si 3.08-3.16, 5 Mn 3.20-3.29
Mn1 0.0000 0.3130 0.2500 [4 per cell]  5 Si 2.27-2.31
Si1 0.0000 0.2499 0.7500 [4 per cell]  4 Mn 2.29-2.31
Si2 0.0000 0.4562 0.2500 [4 per cell]  1 Mn 2.27, 2 Si 2.49

Energy
In order: -7.4843; -7.5705; -7.5431; -7.5962; -6.5819; -6.1451; -7.0037; -6.6282
Unit: eV/atom